No. 1
A geometry-optimized TiCrAgS4 structure. Source: the Materials Project, functional PBE-GGA.

```
data_TiCrAgS4
_space_group_name_H-M_alt 'P c a 21'
_space_group_IT_number 29
_cell_length_a 11.781
_cell_length_b 7.193
_cell_length_c 12.677
_cell_angle_alpha 90.00
_cell_angle_beta 90.00
_cell_angle_gamma 90.00
loop_
_space_group_symop_operation_xyz
'x,y,z'
'-x,-y,z+1/2'
'-x+1/2,y,z+1/2'
'x+1/2,-y,z'
loop_
_atom_site_label
_atom_site_type_symbol
_atom_site_fract_x
_atom_site_fract_y
_atom_site_fract_z
Ti1 Ti 0.082 0.059 0.000
Ti2 Ti 0.117 0.681 0.650
Cr1 Cr 0.151 0.436 0.381
Cr2 Cr 0.161 0.936 0.391
Ag1 Ag 0.104 0.247 0.688
Ag2 Ag 0.109 0.659 0.064
S1 S 0.016 0.047 0.172
S2 S 0.022 0.172 0.421
S3 S 0.033 0.478 0.224
S4 S 0.037 0.689 0.457
S5 S 0.218 0.184 0.852
S6 S 0.220 0.441 0.557
S7 S 0.237 0.691 0.808
S8 S 0.241 0.936 0.556
```

Calculated values
DFT formation energy (eV per atom): -0.81



No. 2
A geometry-optimized MgTi4Zn2O10 structure. Source: the Materials Project, functional PBE-GGA.

```
data_MgTi4Zn2O10
_space_group_name_H-M_alt 'P 1 m 1'
_space_group_IT_number 6
_cell_length_a 5.436
_cell_length_b 3.312
_cell_length_c 12.854
_cell_angle_alpha 90.00
_cell_angle_beta 98.88
_cell_angle_gamma 90.00
loop_
_space_group_symop_operation_xyz
'x,y,z'
'x,-y,z'
loop_
_atom_site_label
_atom_site_type_symbol
_atom_site_fract_x
_atom_site_fract_y
_atom_site_fract_z
Mg1 Mg 0.000 0.000 0.000
Ti1 Ti 0.412 0.000 0.442
Ti2 Ti 0.462 0.000 0.166
Ti3 Ti 0.492 0.500 0.923
Ti4 Ti 0.595 0.500 0.646
Zn1 Zn 0.153 0.000 0.711
Zn2 Zn 0.857 0.500 0.372
O1 O 0.076 0.000 0.396
O2 O 0.139 0.000 0.148
O3 O 0.327 0.000 0.942
O4 O 0.405 0.000 0.605
O5 O 0.433 0.500 0.774
O6 O 0.553 0.500 0.108
O7 O 0.582 0.000 0.309
O8 O 0.605 0.500 0.480
O9 O 0.832 0.500 0.945
O10 O 0.935 0.500 0.691
```

Calculated values
DFT formation energy (eV per atom): -2.83